A plane-wave DFT calculation with PBE was carried out for a geometry-optimized PrEr3S6 structure.

a = 3.9793 Å, b = 11.0565 Å, c = 11.3012 Å
α = 71.29°, β = 90.00°, γ = 90.00°
Closest atoms and distances in Å follow each position.
Fractional coordinates of all 20 atoms:
1 S 0.2500 0.1036 0.5610  4 Er 2.70-2.77
2 S 0.2500 0.5815 0.5931  3 Er 2.71-2.78
3 S 0.7500 0.2350 0.2278  3 Er 2.76-2.85, 2 Pr 3.04
4 S 0.2500 0.3799 0.9638  2 Er 2.91, 3 Pr 2.92-2.96
5 S 0.7500 0.3034 0.7483  3 Er 2.65-2.71
6 S 0.7500 0.6201 0.0362  2 Er 2.91, 3 Pr 2.92-2.96
7 S 0.2500 0.0235 0.1117  4 Er 2.66-2.90
8 S 0.7500 0.9765 0.8883  4 Er 2.66-2.90
9 S 0.2500 0.6966 0.2517  3 Er 2.65-2.71
10 S 0.7500 0.8964 0.4390  4 Er 2.70-2.77
11 S 0.2500 0.7650 0.7722  3 Er 2.76-2.85, 2 Pr 3.04
12 S 0.7500 0.4185 0.4069  3 Er 2.71-2.78
13 Pr 0.7500 0.5487 0.8051  8 S 2.92-3.05
14 Pr 0.2500 0.4513 0.1949  8 S 2.92-3.05
15 Er 0.7500 0.1799 0.9981  7 S 2.68-2.91
16 Er 0.7500 0.6616 0.4135  6 S 2.65-2.78
17 Er 0.2500 0.8201 0.0019  7 S 2.68-2.91
18 Er 0.2500 0.0607 0.3329  6 S 2.66-2.77
19 Er 0.2500 0.3384 0.5865  6 S 2.65-2.78
20 Er 0.7500 0.9393 0.6671  6 S 2.66-2.77

Properties
Its space group is P2_1/m, No. 11. As for the volume: 23.55 A^3/atom. As for the formation enthalpy at 0 K: -2385 meV per atom.